# 1
Below is crystalline Zn7GeN6 at its relaxed geometry, with properties calculated at the GGA-PBE level.

abc: 10.5564 5.7465 12.5172
angles: 90.00 90.00 90.00
Space group Pbcn (No. 60)
One atom of each set of equivalent atoms:
Zn  0.0000  0.0775  0.2500
Zn  0.0301  0.2529  0.0425
Zn  0.2056  0.1800  0.5744
Zn  0.2399  0.1525  0.8443
Ge  0.0000  0.4134  0.7500
N  0.0698  0.3626  0.3450
N  0.1280  0.1948  0.7167
N  0.1762  0.1118  0.9914

Summary:
- E_form: -0.04 eV per atom
- Calculated total energy: -4.414 eV per atom



# 2
Below is crystalline Sr3Sn13Ir4 at its relaxed geometry, with properties calculated at the GGA-PBE level.

abc: 9.9505 9.9505 9.9505
angles: 90.00 90.00 90.00
Space group Pm-3n (No. 223)
One atom of each set of equivalent atoms:
Sr  0.0000  0.2500  0.5000
Sn  0.0000  0.0000  0.0000
Sn  0.0000  0.3017  0.1523
Ir  0.2500  0.2500  0.2500

Summary:
- E_form: -0.45 eV per atom
- Calculated total energy: -5.077 eV per atom



# 3
Below is crystalline KNaMg14 at its relaxed geometry, with properties calculated at the GGA-PBE level.

abc: 10.8122 6.4343 11.5507
angles: 90.00 90.00 90.00
Space group Amm2 (No. 38)
One atom of each set of equivalent atoms:
K  0.0000  0.0000  0.0000
Na  0.0000  0.0000  0.4994
Mg  0.0000  0.2487  0.2503
Mg  0.2518  0.0000  0.6692
Mg  0.2616  0.0000  0.1723
Mg  0.2685  0.2458  0.4125
Mg  0.5000  0.0000  0.0006
Mg  0.5000  0.0000  0.5005
Mg  0.5000  0.2501  0.2500

Summary:
- E_form: 0.11 eV per atom
- Calculated total energy: -1.444 eV per atom



# 4
Below is crystalline Mg6Si5 at its relaxed geometry, with properties calculated at the GGA-PBE level.

abc: 7.0419 4.1335 14.6797
angles: 90.00 98.82 90.00
Space group Pm (No. 6)
One atom of each set of equivalent atoms:
Mg  0.0000  0.0000  0.0000
Mg  0.0237  0.5000  0.1915
Mg  0.1444  0.5000  0.6774
Mg  0.2212  0.0000  0.3250
Mg  0.2767  0.0000  0.5323
Mg  0.3393  0.5000  0.0410
Mg  0.4057  0.0000  0.8828
Mg  0.5425  0.5000  0.2628
Mg  0.6398  0.0000  0.4315
Mg  0.6684  0.5000  0.5962
Mg  0.8812  0.0000  0.7694
Mg  0.9706  0.5000  0.4303
Si  0.1228  0.5000  0.8681
Si  0.2989  0.0000  0.1531
Si  0.3805  0.5000  0.4293
Si  0.4691  0.0000  0.6966
Si  0.5495  0.5000  0.7758
Si  0.6428  0.0000  0.1296
Si  0.7290  0.5000  0.0513
Si  0.7982  0.5000  0.9008
Si  0.8326  0.0000  0.2865
Si  0.9261  0.0000  0.5778

Summary:
- E_form: 0.04 eV per atom
- Calculated total energy: -3.333 eV per atom



# 5
Below is crystalline Sm2Se5O13 at its relaxed geometry, with properties calculated at the GGA-PBE level.

abc: 10.3583 10.4804 13.1142
angles: 90.00 111.90 90.00
Space group P2_1/c (No. 14)
One atom of each set of equivalent atoms:
Sm  0.0625  0.1804  0.4162
Sm  0.1762  0.7456  0.4083
Se  0.0985  0.0791  0.7256
Se  0.1515  0.0710  0.1787
Se  0.3409  0.7318  0.1925
Se  0.3530  0.0755  0.0361
Se  0.4056  0.0165  0.5971
O  0.0197  0.5567  0.9100
O  0.0204  0.6664  0.7358
O  0.0521  0.1875  0.0899
O  0.0846  0.5765  0.2674
O  0.1726  0.7359  0.0952
O  0.2039  0.1329  0.3060
O  0.2038  0.1332  0.9415
O  0.2738  0.1213  0.5550
O  0.3237  0.0957  0.1658
O  0.3272  0.7313  0.8122
O  0.3341  0.5838  0.5122
O  0.3612  0.5580  0.2118
O  0.3627  0.6080  0.0080

Summary:
- E_form: -1.98 eV per atom
- Calculated total energy: -6.096 eV per atom



# 6
Below is crystalline Mg3In at its relaxed geometry, with properties calculated at the GGA-PBE level.

abc: 4.4969 4.4969 4.4969
angles: 90.00 90.00 90.00
Space group Pm-3m (No. 221)
One atom of each set of equivalent atoms:
Mg  0.0000  0.0000  0.5000
In  0.5000  0.5000  0.5000

Summary:
- E_form: -0.08 eV per atom
- Calculated total energy: -1.971 eV per atom



Repeat the first record exactly.
Below is crystalline Zn7GeN6 at its relaxed geometry, with properties calculated at the GGA-PBE level.

abc: 10.5564 5.7465 12.5172
angles: 90.00 90.00 90.00
Space group Pbcn (No. 60)
One atom of each set of equivalent atoms:
Zn  0.0000  0.0775  0.2500
Zn  0.0301  0.2529  0.0425
Zn  0.2056  0.1800  0.5744
Zn  0.2399  0.1525  0.8443
Ge  0.0000  0.4134  0.7500
N  0.0698  0.3626  0.3450
N  0.1280  0.1948  0.7167
N  0.1762  0.1118  0.9914

Summary:
- E_form: -0.04 eV per atom
- Calculated total energy: -4.414 eV per atom



Q: Among the records above, which one has the lowest E_form?
A: Sm2Se5O13